(1)
This record from the Materials Project describes Ba2CrO4 after structural relaxation. The functional is GGA+U.

```
data_Ba2CrO4
_cell_length_a 7.732
_cell_length_b 10.724
_cell_length_c 6.017
_cell_angle_alpha 90.00
_cell_angle_beta 90.00
_cell_angle_gamma 90.00
_space_group_name_H-M_alt 'P n a 21'
_space_group_IT_number 33
_space_group_name_Hall 'P 2c -2n'
loop_
_atom_site_label
_atom_site_type_symbol
_atom_site_fract_x
_atom_site_fract_y
_atom_site_fract_z
Ba1 Ba 0.003 0.196 0.000
Ba2 Ba 0.151 0.431 0.495
Cr1 Cr 0.218 0.079 0.494
O1 O 0.012 0.923 0.979
O2 O 0.186 0.423 0.998
O3 O 0.189 0.647 0.748
O4 O 0.198 0.652 0.241
```

- DFT total energy: -6.81 eV per atom
- Spin magnetization: 0.000 Bohr magnetons per cell
- ΔH_f (0 K): -2732 meV/atom

(2)
This record from the Materials Project describes Ba7Ca2Mn3Cr2O20 after structural relaxation. The functional is GGA+U.

```
data_Ba7Ca2Mn3Cr2O20
_cell_length_a 5.8980
_cell_length_b 5.8980
_cell_length_c 52.0847
_cell_angle_alpha 90.00
_cell_angle_beta 90.00
_cell_angle_gamma 120.00
_space_group_name_H-M_alt 'R -3 m'
_space_group_IT_number 166
_space_group_name_Hall '-R 3 2"'
loop_
_atom_site_label
_atom_site_type_symbol
_atom_site_fract_x
_atom_site_fract_y
_atom_site_fract_z
Ba1 Ba 0.0000 0.0000 0.0000
Ba2 Ba 0.0000 0.0000 0.1459
Ba3 Ba 0.0000 0.0000 0.2263
Ba4 Ba 0.0000 0.0000 0.3881
Ca1 Ca 0.0000 0.0000 0.0746
Mn1 Mn 0.0000 0.0000 0.4505
Mn2 Mn 0.0000 0.0000 0.5000
Cr1 Cr 0.0000 0.0000 0.3027
O1 O 0.0000 0.0000 0.3350
O2 O 0.0162 0.5081 0.3757
O3 O 0.0278 0.5139 0.2358
O4 O 0.0412 0.5206 0.1433
```

- DFT total energy: -6.80 eV per atom
- Spin magnetization: 32.996 Bohr magnetons per cell
- ΔH_f (0 K): -2665 meV/atom

(3)
This record from the Materials Project describes Ni3H12C10NO6 after structural relaxation. The functional is GGA+U.

```
data_Ni3H12C10NO6
_cell_length_a 11.0661
_cell_length_b 11.0661
_cell_length_c 7.1979
_cell_angle_alpha 90.00
_cell_angle_beta 90.00
_cell_angle_gamma 120.00
_space_group_name_H-M_alt 'P -3'
_space_group_IT_number 147
_space_group_name_Hall '-P 3'
loop_
_atom_site_label
_atom_site_type_symbol
_atom_site_fract_x
_atom_site_fract_y
_atom_site_fract_z
Ni1 Ni 0.0173 0.1332 0.1699
H1 H 0.1129 0.5565 0.5772
H2 H 0.1925 0.7431 0.5566
H3 H 0.1957 0.6416 0.3640
H4 H 0.2439 0.5689 0.8421
C1 C 0.0256 0.1961 0.7605
C2 C 0.0448 0.3022 0.1679
C3 C 0.1983 0.6510 0.5154
C4 C 0.3333 0.6667 0.7938
N1 N 0.3333 0.6667 0.5850
O1 O 0.0388 0.3009 0.6943
O2 O 0.0682 0.4171 0.1534
```

- DFT total energy: -5.82 eV per atom
- Spin magnetization: 0.000 Bohr magnetons per cell
- ΔH_f (0 K): -298 meV/atom

(4)
This record from the Materials Project describes MoO3 after structural relaxation. The functional is GGA+U.

```
data_MoO3
_cell_length_a 7.287
_cell_length_b 5.475
_cell_length_c 5.656
_cell_angle_alpha 90.00
_cell_angle_beta 90.59
_cell_angle_gamma 90.00
_space_group_name_H-M_alt 'P 1 c 1'
_space_group_IT_number 7
_space_group_name_Hall 'P -2yc'
loop_
_atom_site_label
_atom_site_type_symbol
_atom_site_fract_x
_atom_site_fract_y
_atom_site_fract_z
Mo1 Mo 0.000 0.245 0.000
Mo2 Mo 0.500 0.251 0.156
O1 O 0.041 0.018 0.327
O2 O 0.248 0.329 0.073
O3 O 0.456 0.016 0.362
O4 O 0.541 0.498 0.847
O5 O 0.749 0.174 0.086
O6 O 0.956 0.465 0.778
```

- DFT total energy: -7.03 eV per atom
- ΔH_f (0 K): -1922 meV/atom

(5)
This record from the Materials Project describes FeO2 after structural relaxation. The functional is GGA+U.

```
data_FeO2
_cell_length_a 10.191
_cell_length_b 10.191
_cell_length_c 2.965
_cell_angle_alpha 90.00
_cell_angle_beta 90.00
_cell_angle_gamma 90.00
_space_group_name_H-M_alt 'I 4/m'
_space_group_IT_number 87
_space_group_name_Hall '-I 4'
loop_
_atom_site_label
_atom_site_type_symbol
_atom_site_fract_x
_atom_site_fract_y
_atom_site_fract_z
Fe1 Fe 0.150 0.335 0.000
O1 O 0.043 0.665 0.000
O2 O 0.153 0.211 0.500
```

- DFT total energy: -6.15 eV per atom
- Spin magnetization: 31.983 Bohr magnetons per cell
- ΔH_f (0 K): -1243 meV/atom

(6)
This record from the Materials Project describes Li2TiCo3O8 after structural relaxation. The functional is GGA+U.

```
data_Li2TiCo3O8
_cell_length_a 12.039
_cell_length_b 12.058
_cell_length_c 8.167
_cell_angle_alpha 90.00
_cell_angle_beta 90.17
_cell_angle_gamma 90.00
_space_group_name_H-M_alt 'C 1 2 1'
_space_group_IT_number 5
_space_group_name_Hall 'C 2y'
loop_
_atom_site_label
_atom_site_type_symbol
_atom_site_fract_x
_atom_site_fract_y
_atom_site_fract_z
Li1 Li 0.125 0.000 0.119
Li2 Li 0.126 0.253 0.379
Li3 Li 0.127 0.501 0.129
Li4 Li 0.128 0.751 0.369
Ti1 Ti 0.000 0.264 0.000
Ti2 Ti 0.000 0.992 0.500
Ti3 Ti 0.132 0.622 0.758
Co1 Co 0.000 0.505 0.500
Co2 Co 0.000 0.749 0.000
Co3 Co 0.122 0.127 0.748
Co4 Co 0.123 0.374 0.744
Co5 Co 0.127 0.878 0.753
Co6 Co 0.245 0.502 0.492
Co7 Co 0.248 0.752 0.002
O1 O 0.006 0.252 0.763
O2 O 0.009 0.749 0.777
O3 O 0.013 0.006 0.739
O4 O 0.013 0.504 0.739
O5 O 0.119 0.617 0.512
O6 O 0.120 0.888 0.510
O7 O 0.121 0.392 0.508
O8 O 0.122 0.117 0.524
O9 O 0.122 0.363 0.991
O10 O 0.124 0.636 0.991
O11 O 0.125 0.137 0.974
O12 O 0.126 0.861 0.988
O13 O 0.230 0.250 0.756
O14 O 0.235 0.745 0.756
O15 O 0.238 0.506 0.736
O16 O 0.240 0.998 0.737
```

- DFT total energy: -6.36 eV per atom
- Spin magnetization: 7.566 Bohr magnetons per cell
- ΔH_f (0 K): -1916 meV/atom